This record from the Materials Project database describes V2P2O7 after structural relaxation. The functional is GGA+U.

## Properties
Total energy in eV per atom: -7.63
Space group: No. 14
Distance to the lowest polymorph of the same formula in eV/atom: 0.000
Crystal system: monoclinic

Structure (CIF):
```
data_V2P2O7
_chemical_formula_sum 'V4 P4 O14'
_symmetry_space_group_name_H-M 'P 1'
_symmetry_Int_Tables_number 1
_cell_length_a 4.568
_cell_length_b 5.414
_cell_length_c 10.396
_cell_angle_alpha 90.00
_cell_angle_beta 90.00
_cell_angle_gamma 96.43
loop_
_symmetry_equiv_pos_as_xyz
'x,y,z'
loop_
_atom_site_label
_atom_site_type_symbol
_atom_site_fract_x
_atom_site_fract_y
_atom_site_fract_z
V1 V 0.405 0.581 0.343
V2 V 0.595 0.919 0.843
V3 V 0.405 0.081 0.157
V4 V 0.595 0.419 0.657
P1 P 0.860 0.151 0.390
P2 P 0.140 0.349 0.890
P3 P 0.860 0.651 0.110
P4 P 0.140 0.849 0.610
O1 O 0.000 0.000 0.500
O2 O 0.000 0.500 0.000
O3 O 0.372 0.037 0.675
O4 O 0.628 0.463 0.175
O5 O 0.372 0.537 0.825
O6 O 0.628 0.963 0.325
O7 O 0.283 0.137 0.955
O8 O 0.717 0.363 0.455
O9 O 0.283 0.637 0.545
O10 O 0.717 0.863 0.045
O11 O 0.885 0.252 0.801
O12 O 0.115 0.248 0.301
O13 O 0.885 0.752 0.699
O14 O 0.115 0.748 0.199
```

This record from the Materials Project database describes GdCrTeO6 after structural relaxation. The functional is GGA+U.

## Properties
Total energy in eV per atom: -7.85
Space group: No. 163
Distance to the lowest polymorph of the same formula in eV/atom: 0.282
Crystal system: trigonal

Structure (CIF):
```
data_GdCrTeO6
_chemical_formula_sum 'Gd2 Cr2 Te2 O12'
_symmetry_space_group_name_H-M 'P 1'
_symmetry_Int_Tables_number 1
_cell_length_a 5.456
_cell_length_b 5.456
_cell_length_c 8.649
_cell_angle_alpha 90.00
_cell_angle_beta 90.00
_cell_angle_gamma 120.00
loop_
_symmetry_equiv_pos_as_xyz
'x,y,z'
loop_
_atom_site_label
_atom_site_type_symbol
_atom_site_fract_x
_atom_site_fract_y
_atom_site_fract_z
Gd1 Gd 0.333 0.667 0.750
Gd2 Gd 0.667 0.333 0.250
Cr1 Cr 0.000 0.000 0.000
Cr2 Cr 0.000 0.000 0.500
Te1 Te 0.667 0.333 0.750
Te2 Te 0.333 0.667 0.250
O1 O 0.952 0.306 0.877
O2 O 0.048 0.694 0.123
O3 O 0.354 0.048 0.877
O4 O 0.354 0.306 0.623
O5 O 0.646 0.952 0.123
O6 O 0.646 0.694 0.377
O7 O 0.694 0.646 0.877
O8 O 0.694 0.048 0.623
O9 O 0.306 0.354 0.123
O10 O 0.306 0.952 0.377
O11 O 0.952 0.646 0.623
O12 O 0.048 0.354 0.377
```

This record from the Materials Project database describes MgCo6O10F2 after structural relaxation. The functional is GGA+U.

## Properties
Total energy in eV per atom: -5.58
Space group: No. 3
Distance to the lowest polymorph of the same formula in eV/atom: 0.019
Crystal system: monoclinic

Structure (CIF):
```
data_MgCo6O10F2
_chemical_formula_sum 'Mg1 Co6 O10 F2'
_symmetry_space_group_name_H-M 'P 1'
_symmetry_Int_Tables_number 1
_cell_length_a 4.956
_cell_length_b 14.009
_cell_length_c 2.863
_cell_angle_alpha 90.00
_cell_angle_beta 90.00
_cell_angle_gamma 86.86
loop_
_symmetry_equiv_pos_as_xyz
'x,y,z'
loop_
_atom_site_label
_atom_site_type_symbol
_atom_site_fract_x
_atom_site_fract_y
_atom_site_fract_z
Mg1 Mg 0.000 0.500 0.985
Co1 Co 0.000 0.000 0.989
Co2 Co 0.854 0.308 0.986
Co3 Co 0.146 0.692 0.986
Co4 Co 0.467 0.144 0.488
Co5 Co 0.500 0.500 0.485
Co6 Co 0.533 0.856 0.488
O1 O 0.175 0.937 0.489
O2 O 0.179 0.586 0.485
O3 O 0.397 0.780 0.988
O4 O 0.296 0.087 0.988
O5 O 0.357 0.431 0.985
O6 O 0.643 0.569 0.985
O7 O 0.603 0.220 0.988
O8 O 0.704 0.913 0.988
O9 O 0.825 0.063 0.489
O10 O 0.821 0.414 0.485
F1 F 0.100 0.255 0.487
F2 F 0.900 0.745 0.487
```

This record from the Materials Project database describes Li2VP2O7 after structural relaxation. The functional is GGA+U.

## Properties
Total energy in eV per atom: -6.97
Space group: No. 14
Distance to the lowest polymorph of the same formula in eV/atom: 0.021
Crystal system: monoclinic

Structure (CIF):
```
data_Li2VP2O7
_chemical_formula_sum 'Li16 V8 P16 O56'
_symmetry_space_group_name_H-M 'P 1'
_symmetry_Int_Tables_number 1
_cell_length_a 9.908
_cell_length_b 9.956
_cell_length_c 11.295
_cell_angle_alpha 76.94
_cell_angle_beta 90.00
_cell_angle_gamma 90.00
loop_
_symmetry_equiv_pos_as_xyz
'x,y,z'
loop_
_atom_site_label
_atom_site_type_symbol
_atom_site_fract_x
_atom_site_fract_y
_atom_site_fract_z
Li1 Li 0.721 0.112 0.551
Li2 Li 0.421 0.169 0.454
Li3 Li 0.107 0.086 0.971
Li4 Li 0.911 0.345 0.043
Li5 Li 0.411 0.155 0.957
Li6 Li 0.607 0.414 0.029
Li7 Li 0.921 0.331 0.546
Li8 Li 0.221 0.388 0.449
Li9 Li 0.779 0.612 0.551
Li10 Li 0.079 0.669 0.454
Li11 Li 0.393 0.586 0.971
Li12 Li 0.589 0.845 0.043
Li13 Li 0.089 0.655 0.957
Li14 Li 0.893 0.914 0.029
Li15 Li 0.579 0.831 0.546
Li16 Li 0.279 0.888 0.449
V1 V 0.928 0.203 0.327
V2 V 0.218 0.264 0.173
V3 V 0.718 0.236 0.827
V4 V 0.428 0.297 0.673
V5 V 0.572 0.703 0.327
V6 V 0.282 0.764 0.173
V7 V 0.782 0.736 0.827
V8 V 0.072 0.797 0.673
P1 P 0.453 0.026 0.239
P2 P 0.704 0.121 0.110
P3 P 0.930 0.059 0.755
P4 P 0.150 0.122 0.573
P5 P 0.650 0.378 0.427
P6 P 0.430 0.441 0.245
P7 P 0.047 0.526 0.239
P8 P 0.204 0.379 0.890
P9 P 0.796 0.621 0.110
P10 P 0.953 0.474 0.761
P11 P 0.570 0.559 0.755
P12 P 0.350 0.622 0.573
P13 P 0.850 0.878 0.427
P14 P 0.070 0.941 0.245
P15 P 0.296 0.879 0.890
P16 P 0.547 0.974 0.761
O1 O 0.414 0.022 0.370
O2 O 0.840 0.024 0.447
O3 O 0.090 0.088 0.265
O4 O 0.365 0.118 0.142
O5 O 0.603 0.093 0.227
O6 O 0.829 0.183 0.155
O7 O 0.631 0.226 0.006
O8 O 0.277 0.016 0.926
O9 O 0.080 0.110 0.706
O10 O 0.927 0.069 0.887
O11 O 0.536 0.120 0.789
O12 O 0.287 0.188 0.581
O13 O 0.830 0.165 0.681
O14 O 0.062 0.223 0.481
O15 O 0.562 0.277 0.519
O16 O 0.330 0.335 0.319
O17 O 0.787 0.312 0.419
O18 O 0.036 0.380 0.211
O19 O 0.580 0.390 0.294
O20 O 0.427 0.431 0.113
O21 O 0.777 0.484 0.074
O22 O 0.131 0.274 0.994
O23 O 0.329 0.317 0.845
O24 O 0.103 0.407 0.773
O25 O 0.590 0.412 0.735
O26 O 0.865 0.382 0.858
O27 O 0.086 0.522 0.370
O28 O 0.340 0.476 0.553
O29 O 0.660 0.524 0.447
O30 O 0.914 0.478 0.630
O31 O 0.135 0.618 0.142
O32 O 0.410 0.588 0.265
O33 O 0.897 0.593 0.227
O34 O 0.671 0.683 0.155
O35 O 0.869 0.726 0.006
O36 O 0.223 0.516 0.926
O37 O 0.573 0.569 0.887
O38 O 0.420 0.610 0.706
O39 O 0.964 0.620 0.789
O40 O 0.213 0.688 0.581
O41 O 0.670 0.665 0.681
O42 O 0.438 0.723 0.481
O43 O 0.938 0.777 0.519
O44 O 0.170 0.835 0.319
O45 O 0.713 0.812 0.419
O46 O 0.464 0.880 0.211
O47 O 0.073 0.931 0.113
O48 O 0.920 0.890 0.294
O49 O 0.723 0.984 0.074
O50 O 0.369 0.774 0.994
O51 O 0.171 0.817 0.845
O52 O 0.397 0.907 0.773
O53 O 0.635 0.882 0.858
O54 O 0.910 0.912 0.735
O55 O 0.160 0.976 0.553
O56 O 0.586 0.978 0.630
```

This record from the Materials Project database describes ZnW2O7 after structural relaxation. The functional is GGA+U.

## Properties
Total energy in eV per atom: -6.70
Space group: No. 4
Crystal system: monoclinic

Structure (CIF):
```
data_ZnW2O7
_chemical_formula_sum 'Zn2 W4 O14'
_symmetry_space_group_name_H-M 'P 1'
_symmetry_Int_Tables_number 1
_cell_length_a 7.109
_cell_length_b 6.301
_cell_length_c 8.226
_cell_angle_alpha 73.71
_cell_angle_beta 90.00
_cell_angle_gamma 90.00
loop_
_symmetry_equiv_pos_as_xyz
'x,y,z'
loop_
_atom_site_label
_atom_site_type_symbol
_atom_site_fract_x
_atom_site_fract_y
_atom_site_fract_z
Zn1 Zn 0.161 0.114 0.347
Zn2 Zn 0.661 0.886 0.653
W1 W 0.147 0.900 0.787
W2 W 0.647 0.100 0.213
W3 W 0.680 0.353 0.778
W4 W 0.180 0.647 0.222
O1 O 0.363 0.594 0.367
O2 O 0.863 0.406 0.633
O3 O 0.749 0.037 0.425
O4 O 0.249 0.963 0.575
O5 O 0.031 0.402 0.273
O6 O 0.531 0.598 0.727
O7 O 0.412 0.202 0.228
O8 O 0.912 0.798 0.772
O9 O 0.055 0.891 0.242
O10 O 0.555 0.109 0.758
O11 O 0.260 0.704 0.989
O12 O 0.760 0.296 0.011
O13 O 0.118 0.147 0.838
O14 O 0.618 0.853 0.162
```